1.
# ErCu2Si2 (r²SCAN, optimized geometry)
# Formation energy from the elements = -59.40 kJ per mole of atoms
# Final energy = -15.25 eV per atom
data_ErCu2Si2
_chemical_formula_sum 'Er2 Cu4 Si4'
_symmetry_space_group_name_H-M 'I 4/m m m'
_symmetry_Int_Tables_number 139
_symmetry_space_group_name_Hall '-I 4 2'
_cell_length_a 3.9189
_cell_length_b 3.9189
_cell_length_c 9.9358
_cell_angle_alpha 90.00
_cell_angle_beta 90.00
_cell_angle_gamma 90.00
loop_
_atom_site_label
_atom_site_type_symbol
_atom_site_fract_x
_atom_site_fract_y
_atom_site_fract_z
_atom_site_occupancy
Er1 Er 0.0000 0.0000 0.0000 1
Cu1 Cu 0.0000 0.5000 0.2500 1
Si1 Si 0.0000 0.0000 0.3829 1

2.
# ErTmCu2 (r²SCAN, optimized geometry)
# Formation energy from the elements = -28.06 kJ per mole of atoms
# Final energy = -22.98 eV per atom
data_ErTmCu2
_chemical_formula_sum 'Er4 Tm4 Cu8'
_symmetry_space_group_name_H-M 'F m -3 m'
_symmetry_Int_Tables_number 225
_symmetry_space_group_name_Hall '-F 4 2 3'
_cell_length_a 6.7901
_cell_length_b 6.7901
_cell_length_c 6.7901
_cell_angle_alpha 90.00
_cell_angle_beta 90.00
_cell_angle_gamma 90.00
loop_
_atom_site_label
_atom_site_type_symbol
_atom_site_fract_x
_atom_site_fract_y
_atom_site_fract_z
_atom_site_occupancy
Er1 Er 0.0000 0.0000 0.0000 1
Tm1 Tm 0.0000 0.0000 0.5000 1
Cu1 Cu 0.2500 0.2500 0.2500 1

> Which value of final energy does entry 1 give?

-15.25 eV per atom

Repeat the second record exactly.
# ErTmCu2 (r²SCAN, optimized geometry)
# Formation energy from the elements = -28.06 kJ per mole of atoms
# Final energy = -22.98 eV per atom
data_ErTmCu2
_chemical_formula_sum 'Er4 Tm4 Cu8'
_symmetry_space_group_name_H-M 'F m -3 m'
_symmetry_Int_Tables_number 225
_symmetry_space_group_name_Hall '-F 4 2 3'
_cell_length_a 6.7901
_cell_length_b 6.7901
_cell_length_c 6.7901
_cell_angle_alpha 90.00
_cell_angle_beta 90.00
_cell_angle_gamma 90.00
loop_
_atom_site_label
_atom_site_type_symbol
_atom_site_fract_x
_atom_site_fract_y
_atom_site_fract_z
_atom_site_occupancy
Er1 Er 0.0000 0.0000 0.0000 1
Tm1 Tm 0.0000 0.0000 0.5000 1
Cu1 Cu 0.2500 0.2500 0.2500 1

> The lowest formation energy from the elements belongs to which entry?

ErCu2Si2

> Number 1 is which compound?

ErCu2Si2